Record 1
DFT (GGA+U) results for a relaxed structure of K2CoH2S2O10.

a b c (Å): 4.8559 7.6141 8.3147
angles (deg): 106.31 95.96 107.70
Closest atoms and distances in Å follow each position.
Sites, in units of the cell vectors:
1 O 0.8630 0.2543 0.1501  1 S 1.47
2 O 0.7522 0.9931 0.8007  1 O 1.49
3 H 0.4770 0.0191 0.4658  1 H 0.75
4 O 0.2478 0.0069 0.1993  1 O 1.49
5 Co 0.0000 0.0000 0.0000  2 O 1.92
6 S 0.3898 0.6825 0.8173  4 O 1.46-1.62
7 O 0.5680 0.7889 0.6959  1 O 1.49, 1 S 1.62
8 S 0.6102 0.3175 0.1827  4 O 1.46-1.62
9 O 0.1370 0.7457 0.8499  1 S 1.47
10 O 0.6093 0.7322 0.9752  1 S 1.48
11 H 0.5230 0.9809 0.5342  1 H 0.75
12 O 0.3907 0.2678 0.0248  1 S 1.48
13 K 0.7209 0.3278 0.7507  2 H 2.56-2.67, 3 O 2.69-2.77
14 O 0.2936 0.4777 0.7092  1 S 1.46
15 K 0.2791 0.6722 0.2493  2 H 2.56-2.67, 3 O 2.69-2.77
16 O 0.4320 0.2111 0.3041  1 O 1.49, 1 S 1.62
17 O 0.7064 0.5223 0.2908  1 S 1.46

- energy relative to the lowest polymorph listed for this composition (meV per atom) = 422
- MP2020-corrected energy (eV for the cell shown) = -96.55
- symmetry = No. 2

Record 2
DFT (GGA+U) results for a relaxed structure of K2MgZrMo4O16.

a b c (Å): 9.4201 9.4201 10.1919
angles (deg): 57.36 57.36 36.37
Closest atoms and distances in Å follow each position.
Sites, in units of the cell vectors:
1 K 0.2421 0.2421 0.7493  6 O 2.83-3.05
2 O 0.0873 0.0873 0.0772  1 Mo 1.77
3 O 0.7552 0.7552 0.9178  1 Mo 1.74
4 K 0.7579 0.7579 0.2507  6 O 2.83-3.05
5 O 0.1680 0.6582 0.6711  1 Mo 1.84
6 O 0.7425 0.7425 0.5977  1 Mo 1.76
7 O 0.2448 0.2448 0.0822  1 Mo 1.74
8 Mo 0.1264 0.1264 0.2026  4 O 1.74-1.84
9 O 0.1629 0.6663 0.1655  1 Mo 1.79
10 Mg 0.0000 0.0000 0.0000  6 O 2.09-2.11
11 O 0.4154 0.4154 0.4206  1 Mo 1.86, 1 Zr 2.08
12 O 0.8320 0.3418 0.3289  1 Mo 1.84
13 O 0.5846 0.5846 0.5794  1 Mo 1.86, 1 Zr 2.08
14 O 0.3418 0.8320 0.3289  1 Mo 1.84
15 O 0.8371 0.3337 0.8345  1 Mo 1.79
16 O 0.3337 0.8371 0.8345  1 Mo 1.79
17 O 0.6663 0.1629 0.1655  1 Mo 1.79
18 O 0.9127 0.9127 0.9228  1 Mo 1.77
19 O 0.6582 0.1680 0.6711  1 Mo 1.84
20 Mo 0.6233 0.6233 0.7149  4 O 1.76-1.86
21 Mo 0.3767 0.3767 0.2851  4 O 1.76-1.86
22 Zr 0.5000 0.5000 0.5000  6 O 2.08-2.11
23 O 0.2575 0.2575 0.4023  1 Mo 1.76
24 Mo 0.8736 0.8736 0.7974  4 O 1.74-1.84

- MP2020-corrected energy (eV for the cell shown) = -192.70
- symmetry = No. 12

| no. | ΔE_f (eV/atom) |
| --- | --- |
| 1 | -1.33 |
| 2 | -2.41 |